(1)
This record from the Materials Project database describes a geometry-optimized Li6Zn3P4S16 structure. The functional is GGA-PBE.

a = 9.3157 Å, b = 11.6108 Å, c = 23.1288 Å
α = 90.03°, β = 90.04°, γ = 90.08°
With the nearest neighbours (Å) after each atom.
Atoms (fractional coordinates):
Li 0.0000 0.0000 0.0000  4 S 2.40-2.45
Li 0.0003 0.0013 0.7479  4 S 2.41-2.45
Li 0.0111 0.2494 0.8749  4 S 2.37-2.44
Li 0.2451 0.7376 0.7519  4 S 2.47-2.68
Li 0.2455 0.7400 0.9953  4 S 2.47-2.68
Li 0.4836 0.2493 0.8733  4 S 2.37-2.49
Li 0.4895 0.2506 0.1240  4 S 2.42-2.48
Li 0.4915 0.2473 0.6235  4 S 2.41-2.50
Li 0.4923 0.7473 0.3742  4 S 2.46-2.47
Li 0.4930 0.2481 0.3743  4 S 2.47
Li 0.4943 0.4949 0.9992  4 S 2.41-2.43
Li 0.4946 0.4956 0.7479  4 S 2.38-2.45
Li 0.4958 0.7459 0.6219  4 S 2.42-2.47
Li 0.4974 0.7474 0.1277  4 S 2.40-2.49
Li 0.5008 0.7471 0.8753  4 S 2.37-2.44
Li 0.7455 0.4935 0.8745  4 S 2.59-2.66
Li 0.7516 0.0008 0.8741  4 S 2.53-2.62
Li 0.9894 0.4958 0.4982  4 S 2.45-2.47
Li 0.9898 0.4995 0.2507  4 S 2.44-2.46
Li 0.9908 0.4966 0.0019  4 S 2.38-2.45
Li 0.9920 0.4935 0.7488  4 S 2.42-2.49
Li 0.9922 0.9984 0.2494  4 S 2.47-2.48
Li 0.9934 0.7466 0.8738  4 S 2.37-2.40
Li 0.9931 0.9978 0.4990  4 S 2.47
Zn 0.4947 0.4980 0.2489  4 S 2.36-2.38
Zn 0.4946 0.4975 0.4991  4 S 2.36-2.37
Zn 0.4955 0.9973 0.2502  4 S 2.36-2.37
Zn 0.4959 0.9998 0.0003  4 S 2.33-2.38
Zn 0.4958 0.9981 0.4990  4 S 2.36-2.38
Zn 0.4960 0.9993 0.7485  4 S 2.35-2.39
Zn 0.9876 0.7459 0.6227  4 S 2.36-2.40
Zn 0.9893 0.7483 0.1253  4 S 2.35-2.38
Zn 0.9936 0.2486 0.1241  4 S 2.36-2.39
Zn 0.9952 0.2476 0.3743  4 S 2.37
Zn 0.9947 0.2489 0.6255  4 S 2.36-2.40
Zn 0.9962 0.7477 0.3744  4 S 2.37
P 0.2402 0.5033 0.6232  4 S 2.05-2.07
P 0.2421 0.9964 0.1248  4 S 2.05-2.10
P 0.2440 0.5032 0.8743  4 S 2.03-2.08
P 0.2443 0.9978 0.3744  4 S 2.06
P 0.2450 0.4945 0.1251  4 S 2.01-2.11
P 0.2447 0.4976 0.3743  4 S 2.06-2.07
P 0.2458 0.9929 0.8747  4 S 2.02-2.11
P 0.2464 0.9968 0.6246  4 S 2.06-2.09
P 0.7445 0.2471 0.4994  4 S 2.06-2.07
P 0.7440 0.2479 0.2493  4 S 2.06-2.07
P 0.7443 0.7453 0.0014  4 S 2.02-2.12
P 0.7442 0.7482 0.2500  4 S 2.06
P 0.7437 0.7478 0.4987  4 S 2.06-2.07
P 0.7452 0.2408 0.9966  4 S 2.05-2.07
P 0.7448 0.2506 0.7475  4 S 2.01-2.12
P 0.7447 0.7546 0.7514  4 S 2.05-2.07
S 0.1194 0.3908 0.1772  1 P 2.07
S 0.1199 0.4032 0.9263  1 P 2.03
S 0.1211 0.6069 0.8200  1 P 2.08
S 0.1215 0.6096 0.5700  1 P 2.07
S 0.1248 0.6095 0.0735  1 P 2.11
S 0.1263 0.8839 0.6759  1 P 2.09
S 0.1278 0.1062 0.5735  1 P 2.06
S 0.1281 0.8860 0.9274  1 P 2.06
S 0.1293 0.8852 0.1771  1 P 2.06
S 0.1303 0.1090 0.3221  1 P 2.06
S 0.1305 0.3860 0.4265  1 P 2.07
S 0.1304 0.3897 0.6759  1 P 2.07
S 0.1305 0.8864 0.4268  1 P 2.06
S 0.1306 0.6093 0.3222  1 P 2.07
S 0.1317 0.0988 0.8232  1 P 2.02
S 0.1321 0.1090 0.0726  1 P 2.05
S 0.3543 0.3931 0.0702  1 P 2.01
S 0.3561 0.1020 0.6809  1 P 2.06
S 0.3556 0.6018 0.1812  1 P 2.07
S 0.3568 0.3978 0.5686  1 P 2.07
S 0.3581 0.8934 0.3186  1 P 2.06
S 0.3586 0.1020 0.4303  1 P 2.06
S 0.3590 0.3938 0.3185  1 P 2.06
S 0.3591 0.6019 0.4301  1 P 2.06
S 0.3600 0.8934 0.5687  1 P 2.06
S 0.3614 0.0987 0.1793  1 P 2.06
S 0.3614 0.6053 0.6769  1 P 2.05
S 0.3624 0.8913 0.0693  1 P 2.10
S 0.3668 0.4009 0.8230  1 P 2.03
S 0.3680 0.0975 0.9278  1 P 2.07
S 0.3679 0.6080 0.9277  1 P 2.08
S 0.3708 0.8884 0.8197  1 P 2.11
S 0.6193 0.6453 0.0518  1 P 2.02
S 0.6233 0.8572 0.6970  1 P 2.07
S 0.6248 0.3517 0.6960  1 P 2.01
S 0.6261 0.1375 0.8014  1 P 2.12, 1 Zn 2.35
S 0.6258 0.3494 0.9458  1 P 2.05
S 0.6268 0.1371 0.0517  1 P 2.07
S 0.6270 0.6433 0.8016  1 P 2.05
S 0.6284 0.8586 0.4467  1 P 2.06
S 0.6294 0.1368 0.3017  1 P 2.07
S 0.6294 0.6367 0.3019  1 P 2.06
S 0.6288 0.8600 0.9479  1 P 2.12
S 0.6302 0.1356 0.5516  1 P 2.07
S 0.6301 0.3592 0.1970  1 P 2.06
S 0.6301 0.3586 0.4473  1 P 2.07
S 0.6324 0.6351 0.5510  1 P 2.06
S 0.6323 0.8611 0.1979  1 P 2.06
S 0.8554 0.8537 0.5548  1 P 2.07
S 0.8561 0.6434 0.1939  1 P 2.06
S 0.8581 0.1437 0.1935  1 P 2.06
S 0.8578 0.3515 0.3056  1 P 2.07
S 0.8585 0.1433 0.4433  1 P 2.07
S 0.8587 0.3459 0.0527  1 P 2.07
S 0.8586 0.6444 0.4430  1 P 2.06
S 0.8595 0.3506 0.5552  1 P 2.06
S 0.8600 0.8519 0.3056  1 P 2.06
S 0.8616 0.6491 0.6966  1 P 2.07
S 0.8634 0.3490 0.8037  1 P 2.05
S 0.8626 0.6432 0.9468  1 P 2.05
S 0.8645 0.1429 0.6950  1 P 2.07
S 0.8668 0.8527 0.0533  1 P 2.07
S 0.8677 0.8598 0.8030  1 P 2.05
S 0.8694 0.1387 0.9443  1 P 2.05

Results
- E_form: -96.8 kJ/mol of atoms
- Energy relative to the lowest polymorph listed for this composition: 0.003 eV/atom
- Spin magnetization: 0.0 μB per formula unit


(2)
This record from the Materials Project database describes a geometry-optimized SmPt structure. The functional is GGA-PBE.

a = 7.2531 Å, b = 4.5909 Å, c = 5.6551 Å
α = 90.00°, β = 90.00°, γ = 90.00°
With the nearest neighbours (Å) after each atom.
Atoms (fractional coordinates):
Sm 0.1825 0.2500 0.1375  7 Pt 2.92-3.09
Sm 0.3175 0.7500 0.6375  7 Pt 2.92-3.09
Sm 0.6825 0.2500 0.3625  7 Pt 2.92-3.09
Sm 0.8175 0.7500 0.8625  7 Pt 2.92-3.09
Pt 0.0443 0.2500 0.6521  7 Sm 2.92-3.09, 2 Pt 2.94
Pt 0.4557 0.7500 0.1521  7 Sm 2.92-3.09, 2 Pt 2.94
Pt 0.5443 0.2500 0.8479  7 Sm 2.92-3.09, 2 Pt 2.94
Pt 0.9557 0.7500 0.3479  7 Sm 2.92-3.09, 2 Pt 2.94

Results
- E_form: -115.1 kJ/mol of atoms


(3)
This record from the Materials Project database describes a geometry-optimized Ho11In6Ge4 structure. The functional is GGA-PBE.

a = 11.4754 Å, b = 11.4754 Å, c = 11.4754 Å
α = 119.97°, β = 119.97°, γ = 90.05°
With the nearest neighbours (Å) after each atom.
Atoms (fractional coordinates):
Ho 0.0646 0.3147 0.7499  3 Ge 3.06-3.21, 2 In 3.35
Ho 0.1016 0.4466 0.3450  3 Ge 2.99, 4 In 3.07-3.33, 1 Ho 3.30
Ho 0.1016 0.7566 0.6550  3 Ge 2.99, 4 In 3.07-3.33, 1 Ho 3.30
Ho 0.1679 0.1679 0.0000  8 In 3.34-3.43, 1 Ge 3.52, 4 Ho 3.73
Ho 0.2434 0.8984 0.3450  3 Ge 2.99, 4 In 3.07-3.33, 1 Ho 3.30
Ho 0.3147 0.0646 0.7499  3 Ge 3.06-3.21, 2 In 3.35
Ho 0.3147 0.5648 0.2501  3 Ge 3.06-3.21, 2 In 3.35
Ho 0.3300 0.3300 0.6600  2 Ge 2.82
Ho 0.3300 0.6700 0.0000  2 Ge 2.82
Ho 0.4352 0.6853 0.7499  3 Ge 3.06-3.21, 2 In 3.35
Ho 0.4466 0.1016 0.3450  3 Ge 2.99, 4 In 3.07-3.33, 1 Ho 3.30
Ho 0.5534 0.8984 0.6550  3 Ge 2.99, 4 In 3.07-3.33, 1 Ho 3.30
Ho 0.5648 0.3147 0.2501  3 Ge 3.06-3.21, 2 In 3.35
Ho 0.6700 0.3300 0.0000  2 Ge 2.82
Ho 0.6700 0.6700 0.3400  2 Ge 2.82
Ho 0.6853 0.4352 0.7499  3 Ge 3.06-3.21, 2 In 3.35
Ho 0.6853 0.9354 0.2501  3 Ge 3.06-3.21, 2 In 3.35
Ho 0.7566 0.1016 0.6550  3 Ge 2.99, 4 In 3.07-3.33, 1 Ho 3.30
Ho 0.8321 0.8321 0.0000  8 In 3.34-3.43, 1 Ge 3.52, 4 Ho 3.73
Ho 0.8984 0.2434 0.3450  3 Ge 2.99, 4 In 3.07-3.33, 1 Ho 3.30
Ho 0.8984 0.5534 0.6550  3 Ge 2.99, 4 In 3.07-3.33, 1 Ho 3.30
Ho 0.9354 0.6853 0.2501  3 Ge 3.06-3.21, 2 In 3.35
In 0.0338 0.0338 0.4108  2 In 2.93-3.05, 2 Ho 3.07
In 0.0338 0.6230 0.0000  2 In 2.93-3.05, 2 Ho 3.07
In 0.1288 0.1288 0.2575  4 In 2.96-3.05, 1 Ho 3.27
In 0.1288 0.8712 0.0000  4 In 2.96-3.05, 1 Ho 3.27
In 0.3770 0.3770 0.4108  2 In 2.93-3.05, 2 Ho 3.07
In 0.3770 0.9662 0.0000  2 In 2.93-3.05, 2 Ho 3.07
In 0.6230 0.0338 0.0000  2 In 2.93-3.05, 2 Ho 3.07
In 0.6230 0.6230 0.5892  2 In 2.93-3.05, 2 Ho 3.07
In 0.8712 0.1288 0.0000  4 In 2.96-3.05, 1 Ho 3.27
In 0.8712 0.8712 0.7425  4 In 2.96-3.05, 1 Ho 3.27
In 0.9662 0.3770 0.0000  2 In 2.93-3.05, 2 Ho 3.07
In 0.9662 0.9662 0.5892  2 In 2.93-3.05, 2 Ho 3.07
Ge 0.1524 0.5000 0.6524  6 Ho 2.82-2.99
Ge 0.2500 0.7500 0.5000  8 Ho 2.99-3.06
Ge 0.3848 0.3848 0.0000  8 Ho 3.09-3.33
Ge 0.5000 0.1524 0.6524  6 Ho 2.82-2.99
Ge 0.5000 0.8476 0.3476  6 Ho 2.82-2.99
Ge 0.6152 0.6152 0.0000  8 Ho 3.09-3.33
Ge 0.7500 0.2500 0.5000  8 Ho 2.99-3.06
Ge 0.8476 0.5000 0.3476  6 Ho 2.82-2.99

Results
- E_form: -62.7 kJ/mol of atoms
- Spin magnetization: 0.4 μB per formula unit


(4)
This record from the Materials Project database describes a geometry-optimized ThMg2 structure. The functional is GGA-PBE.

a = 6.0750 Å, b = 6.0750 Å, c = 19.5942 Å
α = 90.00°, β = 90.00°, γ = 120.00°
With the nearest neighbours (Å) after each atom.
Atoms (fractional coordinates):
Th 0.0000 0.0000 0.0919  12 Mg 3.53-3.57, 4 Th 3.60-3.73
Th 0.0000 0.0000 0.4081  12 Mg 3.53-3.57, 4 Th 3.60-3.73
Th 0.0000 0.0000 0.5919  12 Mg 3.53-3.57, 4 Th 3.60-3.73
Th 0.0000 0.0000 0.9081  12 Mg 3.53-3.57, 4 Th 3.60-3.73
Th 0.3333 0.6667 0.1565  12 Mg 3.53-3.56, 4 Th 3.66-3.73
Th 0.3333 0.6667 0.3435  12 Mg 3.53-3.56, 4 Th 3.66-3.73
Th 0.6667 0.3333 0.6565  12 Mg 3.53-3.56, 4 Th 3.66-3.73
Th 0.6667 0.3333 0.8435  12 Mg 3.53-3.56, 4 Th 3.66-3.73
Mg 0.0000 0.5000 0.0000  6 Mg 3.03-3.04
Mg 0.0000 0.5000 0.5000  6 Mg 3.03-3.04
Mg 0.1614 0.3228 0.7500  6 Mg 2.94-3.13
Mg 0.1614 0.8386 0.7500  6 Mg 2.94-3.13
Mg 0.3228 0.1614 0.2500  6 Mg 2.94-3.13
Mg 0.3333 0.6667 0.6262  6 Mg 3.03
Mg 0.3333 0.6667 0.8738  6 Mg 3.03
Mg 0.5000 0.0000 0.0000  6 Mg 3.03-3.04
Mg 0.5000 0.0000 0.5000  6 Mg 3.03-3.04
Mg 0.5000 0.5000 0.0000  6 Mg 3.03-3.04
Mg 0.5000 0.5000 0.5000  6 Mg 3.03-3.04
Mg 0.6667 0.3333 0.1262  6 Mg 3.03
Mg 0.6667 0.3333 0.3738  6 Mg 3.03
Mg 0.6772 0.8386 0.7500  6 Mg 2.94-3.13
Mg 0.8386 0.1614 0.2500  6 Mg 2.94-3.13
Mg 0.8386 0.6772 0.2500  6 Mg 2.94-3.13

Results
- E_form: 2.0 kJ/mol of atoms


(5)
This record from the Materials Project database describes a geometry-optimized Li2BeH4 structure. The functional is GGA-PBE.

a = 6.9973 Å, b = 8.2370 Å, c = 8.2908 Å
α = 90.00°, β = 93.64°, γ = 90.00°
With the nearest neighbours (Å) after each atom.
Atoms (fractional coordinates):
Li 0.0844 0.0707 0.2917  4 H 1.85-1.96
Li 0.0844 0.4293 0.7917  4 H 1.85-1.96
Li 0.1861 0.0764 0.9420  4 H 1.84-1.91
Li 0.1861 0.4236 0.4420  4 H 1.84-1.91
Li 0.3377 0.0848 0.5915  5 H 1.89-2.11
Li 0.3377 0.4152 0.0915  5 H 1.89-2.11
Li 0.3798 0.7145 0.5809  4 H 1.88-1.99
Li 0.3798 0.7855 0.0809  4 H 1.88-1.99
Li 0.6202 0.2145 0.9191  4 H 1.88-1.99
Li 0.6202 0.2855 0.4191  4 H 1.88-1.99
Li 0.6623 0.5848 0.9085  5 H 1.89-2.11
Li 0.6623 0.9152 0.4085  5 H 1.89-2.11
Li 0.8139 0.5764 0.5580  4 H 1.84-1.91
Li 0.8139 0.9236 0.0580  4 H 1.84-1.91
Li 0.9156 0.5707 0.2083  4 H 1.85-1.96
Li 0.9156 0.9293 0.7083  4 H 1.85-1.96
Be 0.0166 0.7059 0.9355  4 H 1.43-1.44
Be 0.0166 0.7941 0.4355  4 H 1.43-1.44
Be 0.4643 0.0687 0.1978  4 H 1.42-1.45
Be 0.4643 0.4313 0.6978  4 H 1.42-1.45
Be 0.5357 0.5687 0.3022  4 H 1.42-1.45
Be 0.5357 0.9313 0.8022  4 H 1.42-1.45
Be 0.9834 0.2059 0.5645  4 H 1.43-1.44
Be 0.9834 0.2941 0.0645  4 H 1.43-1.44
H 0.0448 0.1288 0.7136  1 Be 1.43
H 0.0448 0.3712 0.2136  1 Be 1.43
H 0.0540 0.6248 0.4087  1 Be 1.44
H 0.0540 0.8752 0.9087  1 Be 1.44
H 0.1469 0.2022 0.4682  1 Be 1.44
H 0.1469 0.2978 0.9682  1 Be 1.44
H 0.1730 0.6267 0.0216  1 Be 1.43
H 0.1730 0.8733 0.5216  1 Be 1.43
H 0.2817 0.5006 0.6494  1 Be 1.43
H 0.2817 0.9994 0.1494  1 Be 1.43
H 0.4010 0.0573 0.8262  1 Be 1.42
H 0.4010 0.4427 0.3262  1 Be 1.42
H 0.4727 0.0931 0.3707  1 Be 1.45
H 0.4727 0.4069 0.8707  1 Be 1.45
H 0.4982 0.7163 0.3832  1 Be 1.42
H 0.4982 0.7837 0.8832  1 Be 1.42
H 0.5018 0.2163 0.1168  1 Be 1.42
H 0.5018 0.2837 0.6168  1 Be 1.42
H 0.5273 0.5931 0.1293  1 Be 1.45
H 0.5273 0.9069 0.6293  1 Be 1.45
H 0.5990 0.5573 0.6738  1 Be 1.42
H 0.5990 0.9427 0.1738  1 Be 1.42
H 0.7183 0.0006 0.8506  1 Be 1.43
H 0.7183 0.4994 0.3506  1 Be 1.43
H 0.8270 0.1267 0.4784  1 Be 1.43
H 0.8270 0.3733 0.9784  1 Be 1.43
H 0.8531 0.7022 0.0318  1 Be 1.44
H 0.8531 0.7978 0.5318  1 Be 1.44
H 0.9460 0.1248 0.0913  1 Be 1.44
H 0.9460 0.3752 0.5913  1 Be 1.44
H 0.9552 0.6288 0.7864  1 Be 1.43
H 0.9552 0.8712 0.2864  1 Be 1.43

Results
- E_form: -38.7 kJ/mol of atoms
- Energy relative to the lowest polymorph listed for this composition: 0.000 eV/atom
- Spin magnetization: 0.0 μB per formula unit


(6)
This record from the Materials Project database describes a geometry-optimized PuUN2 structure. The functional is GGA-PBE.

a = 3.4297 Å, b = 3.4297 Å, c = 4.8956 Å
α = 90.00°, β = 90.00°, γ = 90.00°
With the nearest neighbours (Å) after each atom.
Atoms (fractional coordinates):
Pu 0.0000 0.0000 0.0000  6 N 2.43-2.45
U 0.5000 0.5000 0.5000  6 N 2.43-2.45
N 0.0000 0.0000 0.5000  4 U 2.43, 2 Pu 2.45
N 0.5000 0.5000 0.0000  4 Pu 2.43, 2 U 2.45

Results
- E_form: -142.0 kJ/mol of atoms
- Spin magnetization: 4.9 μB per formula unit